Crystalline SrIn2P2 at its relaxed geometry, computed with r2SCAN.

a = 4.124 Å, b = 4.124 Å, c = 17.952 Å
α = 90.00°, β = 90.00°, γ = 120.00°
Sites, in units of the cell vectors:
Sr 0.000 0.000 0.000
Sr 0.000 0.000 0.500
In 0.333 0.667 0.172
In 0.333 0.667 0.328
In 0.667 0.333 0.672
In 0.667 0.333 0.828
P 0.333 0.667 0.609
P 0.333 0.667 0.891
P 0.667 0.333 0.109
P 0.667 0.333 0.391

The value obtained for the theoretical density is 4.76 Mg/m³. As for the calculated volume: 26.44 Å³/atom. Its uncorrected energy is -16.4218 eV/atom.